The following is a PBE-GGA calculation of a geometry-optimized La2Si2PbSe8 structure, from the Materials Project.

a = 16.548 Å, b = 9.543 Å, c = 10.824 Å
α = 90.00°, β = 118.84°, γ = 90.00°
Space group Cc (No. 9)
Unique sites:
La (0.000, 0.058, 0.000) (multiplicity 4)
La (0.343, 0.096, 0.994) (multiplicity 4)
Si (0.088, 0.241, 0.768) (multiplicity 4)
Si (0.408, 0.244, 0.724) (multiplicity 4)
Pb (0.158, 0.411, 0.496) (multiplicity 4)
Se (0.054, 0.165, 0.314) (multiplicity 4)
Se (0.069, 0.460, 0.672) (multiplicity 4)
Se (0.167, 0.238, 0.009) (multiplicity 4)
Se (0.170, 0.102, 0.694) (multiplicity 4)
Se (0.332, 0.377, 0.813) (multiplicity 4)
Se (0.340, 0.246, 0.483) (multiplicity 4)
Se (0.410, 0.016, 0.793) (multiplicity 4)
Se (0.442, 0.346, 0.190) (multiplicity 4)

Computed properties:
crystal system = monoclinic
formation energy from the elements = -1.570 eV per atom

=====

The following is a PBE-GGA calculation of a geometry-optimized Ca2RuN2 structure, from the Materials Project.

a = 3.578 Å, b = 3.670 Å, c = 12.351 Å
α = 90.00°, β = 90.00°, γ = 90.00°
Space group Immm (No. 71)
Unique sites:
Ca (0.000, 0.000, 0.148) (multiplicity 4)
Ru (0.000, 0.000, 0.500) (multiplicity 2)
N (0.000, 0.000, 0.350) (multiplicity 4)

Computed properties:
crystal system = orthorhombic
formation energy from the elements = -0.695 eV per atom

=====

The following is a PBE-GGA calculation of a geometry-optimized Tc4N3 structure, from the Materials Project.

a = 2.8077 Å, b = 2.8077 Å, c = 32.3887 Å
α = 90.00°, β = 90.00°, γ = 120.00°
Space group R-3m (No. 166, hexagonal axes)
Unique sites:
Tc (0.0000, 0.0000, 0.1208) (multiplicity 6)
Tc (0.0000, 0.0000, 0.3657) (multiplicity 6)
N (0.0000, 0.0000, 0.2572) (multiplicity 6)
N (0.0000, 0.0000, 0.5000) (multiplicity 3)

Computed properties:
crystal system = trigonal
formation energy from the elements = 0.091 eV per atom

=====

Q: What is the formation energy from the elements in the second record?
A: -0.695 eV per atom

=====

Please write out number 2 again, unchanged.
The following is a PBE-GGA calculation of a geometry-optimized Ca2RuN2 structure, from the Materials Project.

a = 3.578 Å, b = 3.670 Å, c = 12.351 Å
α = 90.00°, β = 90.00°, γ = 90.00°
Space group Immm (No. 71)
Unique sites:
Ca (0.000, 0.000, 0.148) (multiplicity 4)
Ru (0.000, 0.000, 0.500) (multiplicity 2)
N (0.000, 0.000, 0.350) (multiplicity 4)

Computed properties:
crystal system = orthorhombic
formation energy from the elements = -0.695 eV per atom

=====

Q: Which of these has the lowest formation energy from the elements?
A: La2Si2PbSe8